# Pr2Ni2Sn

A relaxed structure of Pr2Ni2Sn (r²SCAN, the Materials Project).

symmetry = Immm
magnetic moment = 0.00 μB per formula unit
E_form = -0.493 eV/atom

a = 5.641 Å, b = 5.641 Å, c = 5.641 Å
α = 134.44°, β = 118.82°, γ = 79.50°
Fractional positions:
Pr1 0.203 0.203 0.000
Pr2 0.797 0.797 0.000
Ni1 0.210 0.500 0.710
Ni2 0.790 0.500 0.290
Sn1 0.500 0.000 0.500